# 1
Here is a relaxed structure of Li4Co3Sn5O16 from the Materials Project. Energies are from GGA+U.

Summary:
The calculation puts the energy above the most stable polymorph in this dataset at 0.0263 eV/atom. The value obtained for the total moment is 2.00 μB/cell. The calculation puts the formation energy at -1919 meV/atom.

Cell lengths 10.645, 6.148, 9.888 Å; angles 90.00, 90.07, 90.00 degrees
Space group Cm (No. 8)
Unique sites:
Li: 0.000 0.000 0.000 [2 per cell]
Li: 0.007 0.000 0.493 [2 per cell]
Li: 0.185 0.500 0.097 [2 per cell]
Li: 0.348 0.000 0.586 [2 per cell]
Co: 0.346 0.500 0.775 [2 per cell]
Co: 0.432 0.245 0.276 [4 per cell]
Sn: 0.102 0.253 0.774 [4 per cell]
Sn: 0.185 0.500 0.496 [2 per cell]
Sn: 0.186 0.000 0.275 [2 per cell]
Sn: 0.357 0.000 0.003 [2 per cell]
O: 0.013 0.000 0.184 [2 per cell]
O: 0.016 0.000 0.678 [2 per cell]
O: 0.030 0.500 0.644 [2 per cell]
O: 0.095 0.244 0.392 [4 per cell]
O: 0.179 0.000 0.897 [2 per cell]
O: 0.181 0.500 0.889 [2 per cell]
O: 0.254 0.272 0.642 [4 per cell]
O: 0.278 0.224 0.147 [4 per cell]
O: 0.351 0.000 0.383 [2 per cell]
O: 0.353 0.500 0.383 [2 per cell]
O: 0.438 0.253 0.895 [4 per cell]
O: 0.499 0.000 0.159 [2 per cell]

# 2
Here is a relaxed structure of Ca2MgWO6 from the Materials Project. Energies are from GGA+U.

Summary:
The value obtained for the total moment is 0.00 μB/cell. The calculation puts the formation energy at -2996 meV/atom.

Cell lengths 5.475, 5.637, 9.531 Å; angles 90.00, 124.88, 90.00 degrees
Space group P2_1/c (No. 14)
Unique sites:
Ca: 0.235 0.051 0.248 [4 per cell]
Mg: 0.000 0.000 0.500 [2 per cell]
W: 0.500 0.000 0.000 [2 per cell]
O: 0.167 0.195 0.955 [4 per cell]
O: 0.257 0.715 0.948 [4 per cell]
O: 0.351 0.031 0.759 [4 per cell]

# 3
Here is a relaxed structure of MnH8Cl2O4 from the Materials Project. Energies are from GGA+U.

Summary:
The calculation puts the energy above the most stable polymorph in this dataset at 0.0000 eV/atom. The value obtained for the total moment is 20.00 μB/cell. The calculation puts the formation energy at -1272 meV/atom.

Cell lengths 6.203, 9.605, 11.898 Å; angles 90.00, 111.74, 90.00 degrees
Space group P2_1/c (No. 14)
Unique sites:
Mn: 0.248 0.172 0.234 [4 per cell]
H: 0.010 0.645 0.116 [4 per cell]
H: 0.026 0.573 0.595 [4 per cell]
H: 0.068 0.515 0.199 [4 per cell]
H: 0.294 0.574 0.610 [4 per cell]
H: 0.326 0.696 0.299 [4 per cell]
H: 0.364 0.568 0.062 [4 per cell]
H: 0.473 0.202 0.071 [4 per cell]
H: 0.496 0.065 0.638 [4 per cell]
Cl: 0.030 0.687 0.941 [4 per cell]
Cl: 0.350 0.134 0.886 [4 per cell]
O: 0.042 0.616 0.201 [4 per cell]
O: 0.176 0.526 0.633 [4 per cell]
O: 0.484 0.734 0.343 [4 per cell]
O: 0.499 0.038 0.369 [4 per cell]

no.,E_tot (eV per atom)
1,-5.929
2,-6.966
3,-4.964